19
Lattice="-4.2033 -2.2559 -1.3064 -0.1206 -2.9537 -3.8919 1.1424 -8.2769 5.3721" Properties=species:S:1:pos:R:3 comment="MgCo5NiO12 | the Materials Project database | PBE with a Hubbard U | optimized geometry" vol_a3_per_cell=205 e_tot_ev_per_cell=-106.6 spacegroup="No. 8" crystal_system=monoclinic e_form_ev_per_fu=-23.325 magnetic_moment_mub_per_cell=2.99 pbc="T T T"
Ni -0.1564 -3.0138 -3.8799
Co -1.6204 -8.0668 -1.9263
Co -1.4942 -1.8003 -1.7156
Co -2.9063 -6.9849 0.3274
Co -2.9238 -3.5433 -3.4651
Co -0.1467 -6.4642 -0.0965
O -1.7624 -6.4412 -1.0548
O -2.6541 -8.7377 -0.4476
O -3.1434 -5.2950 1.0585
O -1.4568 -4.5953 -3.7834
O -1.8293 -8.9233 3.9111
O -0.6306 -10.3048 1.7210
O -0.2873 -4.7379 0.6231
O -1.2794 -6.9384 1.3934
O -4.0984 -4.9829 -3.3468
O -2.6448 -3.2580 -1.6281
O 0.7754 -8.5335 3.5195
O -0.0244 -8.2340 -0.8523
Mg -0.8451 -7.1334 3.5054